[1]
The following is a DFT calculation (PBE+U) of crystalline Li6V3P8O29 at its relaxed geometry.

Polymorph energy (0 for the lowest one): 5 meV/atom
Symmetry: P1 (1)

Cell lengths 9.777, 9.789, 14.016 Å; angles 89.40, 89.83, 60.44 degrees
Sites, in units of the cell vectors:
Li 0.000 0.000 0.000
Li 0.001 0.416 0.454
Li 0.332 0.193 0.126
Li 0.333 0.763 0.676
Li 0.423 0.433 0.000
Li 0.567 0.862 0.006
Li 0.570 0.422 0.499
Li 0.604 0.139 0.568
Li 0.678 0.141 0.072
Li 0.753 0.775 0.627
Li 0.899 0.766 0.126
Li 0.984 0.862 0.506
V 0.099 0.101 0.808
V 0.104 0.658 0.315
V 0.227 0.529 0.813
V 0.230 0.092 0.315
V 0.661 0.659 0.818
V 0.667 0.528 0.312
P 0.324 0.765 0.934
P 0.336 0.757 0.435
P 0.352 0.179 0.909
P 0.352 0.314 0.402
P 0.437 0.409 0.219
P 0.446 0.008 0.724
P 0.570 0.413 0.716
P 0.578 0.869 0.225
P 0.747 0.314 0.900
P 0.757 0.778 0.410
P 0.884 0.180 0.403
P 0.892 0.780 0.907
P 0.974 0.012 0.218
P 0.981 0.871 0.723
P 0.993 0.436 0.693
P 0.997 0.433 0.194
O 0.002 0.843 0.227
O 0.003 0.015 0.723
O 0.034 0.195 0.393
O 0.045 0.624 0.897
O 0.129 0.016 0.234
O 0.139 0.437 0.739
O 0.147 0.723 0.736
O 0.151 0.285 0.232
O 0.175 0.910 0.890
O 0.184 0.756 0.397
O 0.189 0.465 0.394
O 0.196 0.180 0.894
O 0.280 0.563 0.231
O 0.293 0.996 0.731
O 0.318 0.765 0.040
O 0.319 0.175 0.402
O 0.329 0.346 0.906
O 0.334 0.610 0.893
O 0.334 0.753 0.542
O 0.334 0.902 0.390
O 0.405 0.435 0.728
O 0.412 0.016 0.226
O 0.435 0.094 0.000
O 0.442 0.322 0.128
O 0.449 0.294 0.305
O 0.454 0.309 0.483
O 0.463 0.092 0.641
O 0.465 0.085 0.821
O 0.473 0.773 0.897
O 0.484 0.607 0.397
O 0.557 0.576 0.732
O 0.569 0.718 0.236
O 0.576 0.437 0.227
O 0.585 0.834 0.729
O 0.643 0.334 0.624
O 0.650 0.306 0.981
O 0.666 0.871 0.136
O 0.666 0.886 0.318
O 0.676 0.296 0.801
O 0.677 0.861 0.499
O 0.741 0.477 0.892
O 0.742 0.348 0.406
O 0.745 0.759 0.907
O 0.770 0.614 0.397
O 0.844 0.582 0.732
O 0.852 0.429 0.243
O 0.861 0.110 0.303
O 0.872 0.887 0.814
O 0.881 0.080 0.483
O 0.889 0.871 0.995
O 0.893 0.084 0.125
O 0.898 0.860 0.635
O 0.917 0.179 0.903
O 0.926 0.755 0.405
O 0.989 0.445 0.089
O 0.991 0.585 0.237
O 0.997 0.438 0.587
O 0.998 0.284 0.736

***

[2]
The following is a DFT calculation (PBE+U) of crystalline Be3Si3Mo2O12 at its relaxed geometry.

Symmetry: P2_1/c (14)

Cell lengths 8.167, 7.784, 16.279 Å; angles 90.00, 120.05, 90.00 degrees
Sites, in units of the cell vectors:
Be 0.024 0.147 0.413
Be 0.024 0.353 0.913
Be 0.307 0.146 0.238
Be 0.307 0.354 0.738
Be 0.322 0.650 0.401
Be 0.322 0.850 0.901
Be 0.678 0.150 0.099
Be 0.678 0.350 0.599
Be 0.693 0.646 0.262
Be 0.693 0.854 0.762
Be 0.976 0.647 0.087
Be 0.976 0.853 0.587
Si 0.028 0.729 0.917
Si 0.028 0.771 0.417
Si 0.304 0.733 0.735
Si 0.304 0.767 0.235
Si 0.336 0.233 0.902
Si 0.336 0.267 0.402
Si 0.664 0.733 0.598
Si 0.664 0.767 0.098
Si 0.696 0.233 0.765
Si 0.696 0.267 0.265
Si 0.972 0.229 0.583
Si 0.972 0.271 0.083
Mo 0.328 0.055 0.076
Mo 0.328 0.445 0.576
Mo 0.337 0.047 0.589
Mo 0.337 0.453 0.089
Mo 0.663 0.547 0.911
Mo 0.663 0.953 0.411
Mo 0.672 0.555 0.424
Mo 0.672 0.945 0.924
O 0.100 0.246 0.527
O 0.100 0.254 0.027
O 0.117 0.245 0.868
O 0.117 0.255 0.368
O 0.126 0.245 0.692
O 0.126 0.255 0.192
O 0.130 0.540 0.952
O 0.130 0.960 0.452
O 0.207 0.632 0.460
O 0.207 0.868 0.960
O 0.208 0.628 0.145
O 0.208 0.872 0.645
O 0.236 0.740 0.811
O 0.236 0.760 0.311
O 0.282 0.543 0.686
O 0.282 0.957 0.186
O 0.402 0.038 0.890
O 0.402 0.462 0.390
O 0.425 0.133 0.355
O 0.425 0.367 0.855
O 0.447 0.243 0.523
O 0.447 0.257 0.023
O 0.456 0.238 0.199
O 0.456 0.262 0.699
O 0.544 0.738 0.301
O 0.544 0.762 0.801
O 0.553 0.743 0.977
O 0.553 0.757 0.477
O 0.575 0.633 0.145
O 0.575 0.867 0.645
O 0.598 0.538 0.610
O 0.598 0.962 0.110
O 0.718 0.043 0.814
O 0.718 0.457 0.314
O 0.764 0.240 0.689
O 0.764 0.260 0.189
O 0.792 0.128 0.355
O 0.792 0.372 0.855
O 0.793 0.132 0.040
O 0.793 0.368 0.540
O 0.870 0.040 0.548
O 0.870 0.460 0.048
O 0.874 0.745 0.808
O 0.874 0.755 0.308
O 0.883 0.745 0.632
O 0.883 0.755 0.132
O 0.900 0.746 0.973
O 0.900 0.754 0.473

***

[3]
The following is a DFT calculation (PBE+U) of crystalline Rb2Cr2CdH4O10 at its relaxed geometry.

Symmetry: P-1 (2)

Cell lengths 6.898, 7.921, 11.617 Å; angles 72.69, 75.43, 68.59 degrees
Sites, in units of the cell vectors:
Rb 0.200 0.246 0.098
Rb 0.266 0.733 0.421
Rb 0.734 0.267 0.579
Rb 0.800 0.754 0.902
Cr 0.267 0.228 0.414
Cr 0.269 0.771 0.076
Cr 0.731 0.229 0.924
Cr 0.733 0.772 0.586
Cd 0.250 0.030 0.753
Cd 0.750 0.970 0.247
H 0.154 0.430 0.706
H 0.312 0.633 0.841
H 0.342 0.344 0.788
H 0.363 0.690 0.699
H 0.637 0.310 0.301
H 0.658 0.656 0.212
H 0.688 0.367 0.159
H 0.846 0.570 0.294
O 0.055 0.384 0.361
O 0.108 0.881 0.185
O 0.156 0.645 0.042
O 0.192 0.107 0.553
O 0.251 0.723 0.770
O 0.281 0.323 0.726
O 0.321 0.931 0.951
O 0.390 0.083 0.319
O 0.432 0.334 0.420
O 0.496 0.637 0.125
O 0.504 0.363 0.875
O 0.568 0.666 0.580
O 0.610 0.917 0.681
O 0.679 0.069 0.049
O 0.719 0.677 0.274
O 0.749 0.277 0.230
O 0.808 0.893 0.447
O 0.844 0.355 0.958
O 0.892 0.119 0.815
O 0.945 0.616 0.639

***

[4]
The following is a DFT calculation (PBE+U) of crystalline FeAs2PbO8 at its relaxed geometry.

Symmetry: P2_1/c (14)

Cell lengths 4.947, 8.470, 16.097 Å; angles 90.00, 104.61, 90.00 degrees
Sites, in units of the cell vectors:
Fe 0.193 0.049 0.354
Fe 0.193 0.451 0.854
Fe 0.807 0.549 0.146
Fe 0.807 0.951 0.646
As 0.204 0.690 0.019
As 0.204 0.810 0.519
As 0.429 0.733 0.267
As 0.429 0.767 0.767
As 0.571 0.233 0.233
As 0.571 0.267 0.733
As 0.796 0.190 0.481
As 0.796 0.310 0.981
Pb 0.252 0.028 0.881
Pb 0.252 0.472 0.381
Pb 0.748 0.528 0.619
Pb 0.748 0.972 0.119
O 0.059 0.219 0.428
O 0.059 0.281 0.928
O 0.080 0.635 0.914
O 0.080 0.865 0.414
O 0.177 0.584 0.235
O 0.177 0.916 0.735
O 0.262 0.588 0.759
O 0.262 0.912 0.259
O 0.343 0.619 0.518
O 0.343 0.881 0.018
O 0.345 0.248 0.299
O 0.345 0.252 0.799
O 0.413 0.163 0.133
O 0.413 0.337 0.633
O 0.424 0.548 0.073
O 0.424 0.952 0.573
O 0.576 0.048 0.427
O 0.576 0.452 0.927
O 0.587 0.663 0.367
O 0.587 0.837 0.867
O 0.655 0.748 0.201
O 0.655 0.752 0.701
O 0.657 0.119 0.982
O 0.657 0.381 0.482
O 0.738 0.088 0.741
O 0.738 0.412 0.241
O 0.823 0.084 0.265
O 0.823 0.416 0.765
O 0.920 0.135 0.586
O 0.920 0.365 0.086
O 0.941 0.719 0.072
O 0.941 0.781 0.572

***

[5]
The following is a DFT calculation (PBE+U) of crystalline Li2Fe3SnO8 at its relaxed geometry.

Polymorph energy (0 for the lowest one): 83 meV/atom
Symmetry: R3m (160)

Cell lengths 6.015, 6.015, 6.015 Å; angles 60.43, 60.43, 60.43 degrees
Sites, in units of the cell vectors:
Li 0.000 0.000 0.000
Li 0.378 0.378 0.378
Fe 0.375 0.375 0.899
Fe 0.375 0.899 0.375
Fe 0.899 0.375 0.375
Sn 0.764 0.764 0.764
O 0.132 0.132 0.594
O 0.132 0.594 0.132
O 0.137 0.137 0.137
O 0.166 0.624 0.624
O 0.594 0.132 0.132
O 0.624 0.166 0.624
O 0.624 0.624 0.166
O 0.626 0.626 0.626

***

[6]
The following is a DFT calculation (PBE+U) of crystalline Ba4Nb2WO12 at its relaxed geometry.

Piezoelectric modulus e_max: 2.750 C/m²
Symmetry: R3m (160)

Cell lengths 10.123, 10.123, 10.123 Å; angles 33.72, 33.72, 33.72 degrees
Sites, in units of the cell vectors:
Ba 0.000 0.000 0.000
Ba 0.153 0.153 0.153
Ba 0.423 0.423 0.423
Ba 0.577 0.577 0.577
Nb 0.290 0.290 0.290
Nb 0.712 0.712 0.712
W 0.868 0.868 0.868
O 0.001 0.490 0.490
O 0.077 0.077 0.585
O 0.077 0.585 0.077
O 0.153 0.677 0.677
O 0.414 0.906 0.906
O 0.490 0.001 0.490
O 0.490 0.490 0.001
O 0.585 0.077 0.077
O 0.677 0.153 0.677
O 0.677 0.677 0.153
O 0.906 0.414 0.906
O 0.906 0.906 0.414

***

In the order shown, the computed V values come out to 12.68; 11.20; 14.66; 13.60; 11.10; 14.99 Å³/atom.
In the order shown, the computed energy relative to the elements values come out to -2.6580; -2.7429; -1.6901; -1.5950; -1.7782; -3.1034 eV/atom.